DFT (PBE-GGA) results for a relaxed Mg6ZnCdO8 crystal.

Unit cell a=8.6840 b=4.3796 c=4.3796 alpha=90.00 beta=90.00 gamma=90.00
With the nearest neighbours (Å) after each atom.
Sites, in units of the cell vectors:
Mg 0.0000 0.5000 0.5000  6 O 2.17-2.19
Mg 0.2433 0.5000 0.0000  6 O 2.11-2.23
Mg 0.7567 0.0000 0.5000  6 O 2.11-2.23
Mg 0.5000 0.5000 0.5000  6 O 2.18-2.19
Mg 0.2433 0.0000 0.5000  6 O 2.11-2.23
Mg 0.7567 0.5000 0.0000  6 O 2.11-2.23
Zn 0.0000 0.0000 0.0000  6 O 2.04-2.19
O 0.5000 0.0000 0.5000  2 Cd 2.19, 4 Mg 2.19-2.23
O 0.2493 0.5000 0.5000  6 Mg 2.17-2.19
O 0.0000 0.5000 0.0000  4 Mg 2.11-2.19, 2 Zn 2.19
O 0.0000 0.0000 0.5000  4 Mg 2.11-2.19, 2 Zn 2.19
O 0.2352 0.0000 0.0000  1 Zn 2.04, 4 Mg 2.19
O 0.5000 0.5000 0.0000  2 Cd 2.19, 4 Mg 2.19-2.23
O 0.7507 0.5000 0.5000  6 Mg 2.17-2.19
O 0.7648 0.0000 0.0000  1 Zn 2.04, 4 Mg 2.19
Cd 0.5000 0.0000 0.0000  6 O 2.19-2.30

Results
The total moment is 0.0 μB/f.u. The calculated volume is 10.4 Å³ per atom. As for the energy relative to the elements: -2.605 eV per atom. For the total energy, the calculation gives -5.47 eV/atom.